Record 1
First-principles (PBE) data for an optimized crystal structure of ReSeS, as listed in the Materials Project database.

CIF file:
```
data_ReSeS
_chemical_formula_sum 'Re4 Se4 S4'
_cell_length_a 6.514
_cell_length_b 6.628
_cell_length_c 7.069
_cell_angle_alpha 74.05
_cell_angle_beta 76.68
_cell_angle_gamma 61.57
_symmetry_space_group_name_H-M 'P -1'
_symmetry_Int_Tables_number 2
_symmetry_space_group_name_Hall '-P 1'
loop_
_atom_site_label
_atom_site_type_symbol
_atom_site_fract_x
_atom_site_fract_y
_atom_site_fract_z
Re1 Re 0.009 0.286 0.002
Re2 Re 0.438 0.315 0.009
Se1 Se 0.107 0.377 0.281
Se2 Se 0.387 0.114 0.780
S1 S 0.161 0.866 0.169
S2 S 0.348 0.656 0.768
```

Results
For the formation energy, the calculation gives -1.92 eV/f.u. The spin magnetization is 0.00 μB per formula unit.

---

Record 2
First-principles (PBE) data for an optimized crystal structure of ReTeS, as listed in the Materials Project database.

CIF file:
```
data_ReTeS
_chemical_formula_sum 'Re16 Te16 S16'
_cell_length_a 10.193
_cell_length_b 10.193
_cell_length_c 10.193
_cell_angle_alpha 90.00
_cell_angle_beta 90.00
_cell_angle_gamma 90.00
_symmetry_space_group_name_H-M 'F -4 3 m'
_symmetry_Int_Tables_number 216
_symmetry_space_group_name_Hall 'F -4 2 3'
loop_
_atom_site_label
_atom_site_type_symbol
_atom_site_fract_x
_atom_site_fract_y
_atom_site_fract_z
Re1 Re 0.098 0.098 0.098
Te1 Te 0.128 0.128 0.372
S1 S 0.129 0.129 0.871
```

Results
The maximum piezoelectric response is 0.07 C/m2. For the formation energy, the calculation gives -1.63 eV/f.u.

---

Record 3
First-principles (PBE) data for an optimized crystal structure of Sc5Re24, as listed in the Materials Project database.

CIF file:
```
data_Sc5Re24
_chemical_formula_sum 'Sc10 Re48'
_cell_length_a 9.763
_cell_length_b 9.763
_cell_length_c 9.763
_cell_angle_alpha 90.00
_cell_angle_beta 90.00
_cell_angle_gamma 90.00
_symmetry_space_group_name_H-M 'I -4 3 m'
_symmetry_Int_Tables_number 217
_symmetry_space_group_name_Hall 'I -4 2 3'
loop_
_atom_site_label
_atom_site_type_symbol
_atom_site_fract_x
_atom_site_fract_y
_atom_site_fract_z
Sc1 Sc 0.000 0.000 0.000
Sc2 Sc 0.183 0.183 0.183
Re1 Re 0.038 0.360 0.640
Re2 Re 0.093 0.093 0.715
```

Results
For the formation energy, the calculation gives -6.51 eV/f.u.

---

Record 4
First-principles (PBE) data for an optimized crystal structure of Sc3Re2Si3, as listed in the Materials Project database.

CIF file:
```
data_Sc3Re2Si3
_chemical_formula_sum 'Sc24 Re16 Si24'
_cell_length_a 19.513
_cell_length_b 5.300
_cell_length_c 13.798
_cell_angle_alpha 90.00
_cell_angle_beta 128.59
_cell_angle_gamma 90.00
_symmetry_space_group_name_H-M 'C 1 2 1'
_symmetry_Int_Tables_number 5
_symmetry_space_group_name_Hall 'C 2y'
loop_
_atom_site_label
_atom_site_type_symbol
_atom_site_fract_x
_atom_site_fract_y
_atom_site_fract_z
Sc1 Sc 0.067 0.000 0.387
Sc2 Sc 0.092 0.246 0.920
Sc3 Sc 0.122 0.263 0.210
Sc4 Sc 0.140 0.050 0.741
Sc5 Sc 0.160 0.752 0.111
Sc6 Sc 0.165 0.514 0.613
Re1 Re 0.020 0.734 0.164
Re2 Re 0.039 0.513 0.682
Re3 Re 0.236 0.215 0.466
Re4 Re 0.239 0.459 0.955
Si1 Si 0.000 0.266 0.500
Si2 Si 0.000 0.495 0.000
Si3 Si 0.000 0.763 0.500
Si4 Si 0.000 0.999 0.000
Si5 Si 0.105 0.500 0.367
Si6 Si 0.120 0.757 0.879
Si7 Si 0.172 0.841 0.319
Si8 Si 0.220 0.017 0.629
```

Results
For the formation energy, the calculation gives -4.17 eV/f.u. The spin magnetization is 0.00 μB per formula unit.